Record 1
# MgFe8O14F2

MgFe8O14F2 after structural relaxation (PBE+U, the Materials Project).

Cell: 7.2905 8.0627 5.7597 Å, 114.31 108.80 83.07°
Atoms (fractional coordinates):
O 0.0038 0.8311 0.6383
O 0.5173 0.3305 0.6683
O 0.3358 0.0099 0.6797
O 0.7519 0.5851 0.1409
O 0.1279 0.5037 0.3177
O 0.4750 0.6790 0.3275
O 0.0819 0.7623 0.1413
O 0.7298 0.9119 0.8247
O 0.6595 0.9703 0.3277
O 0.9920 0.1606 0.3518
O 0.2318 0.4342 0.8339
O 0.4149 0.7457 0.8352
O 0.6096 0.2316 0.1711
O 0.9144 0.2728 0.8678
Fe 0.2354 0.7510 0.4957
Fe 0.0064 0.9523 0.0168
Fe 0.7326 0.7810 0.4706
Fe 0.7352 0.2226 0.5240
Fe 0.5188 0.9896 0.9930
Fe 0.0152 0.5109 0.9775
Fe 0.4775 0.5466 0.9605
Fe 0.2681 0.2030 0.5568
F 0.8333 0.4958 0.6087
F 0.2763 0.0702 0.1679
Mg 0.8701 0.3631 0.2335

Output
Magnetic moment ... 36.00 μB per cell
Energy relative to the lowest polymorph listed for this composition ... 0.20 eV per formula unit
Crystal system ... triclinic
VASP energy ... -6.183 eV per atom
Total energy after the MP2020 corrections ... -183.16 eV/cell

Record 2
# Mn6O5F7

Mn6O5F7 after structural relaxation (PBE+U, the Materials Project).

Cell: 5.3011 5.3604 14.8635 Å, 93.38 92.50 93.75°
Atoms (fractional coordinates):
O 0.6923 0.3199 0.7722
O 0.2725 0.3599 0.5704
O 0.6931 0.7711 0.2433
O 0.8057 0.6140 0.6011
O 0.1791 0.1360 0.7511
O 0.1412 0.2612 0.4076
O 0.3004 0.2454 0.9286
O 0.5932 0.3780 0.1011
O 0.7591 0.2527 0.2557
O 0.3605 0.8590 0.0694
Mn 0.9833 0.4655 0.5027
Mn 0.4499 0.4933 0.3196
Mn 0.9284 0.0111 0.3246
Mn 0.9846 0.8885 0.6701
Mn 0.4504 0.5449 0.0039
Mn 0.8807 0.5394 0.1696
Mn 0.0991 0.0137 0.0022
Mn 0.0237 0.3730 0.8337
Mn 0.5261 0.4490 0.6695
Mn 0.3898 0.1071 0.4915
Mn 0.4939 0.0398 0.8287
Mn 0.5546 0.0494 0.1652
F 0.6553 0.3641 0.4334
F 0.1669 0.6579 0.2467
F 0.8647 0.8676 0.0857
F 0.2336 0.8612 0.5776
F 0.0866 0.3600 0.0855
F 0.7019 0.1168 0.5849
F 0.4894 0.8547 0.4078
F 0.3528 0.7327 0.8996
F 0.7206 0.8180 0.7541
F 0.8781 0.5779 0.9288
F 0.2608 0.1479 0.2437
F 0.9857 0.7680 0.4143
F 0.8154 0.0738 0.9213
F 0.2266 0.6274 0.7348

Output
Magnetic moment ... 50.00 μB per cell
Energy relative to the lowest polymorph listed for this composition ... 0.90 eV per formula unit
Crystal system ... triclinic
VASP energy ... -6.637 eV per atom
Total energy after the MP2020 corrections ... -272.29 eV/cell

Record 3
# Li2MnFeP2O8

Li2MnFeP2O8 after structural relaxation (PBE+U, the Materials Project).

Cell: 6.1304 10.5063 14.2962 Å, 89.92 90.00 90.00°
Atoms (fractional coordinates):
P 0.0000 0.4060 0.9712
P 0.0000 0.4057 0.6390
P 0.5000 0.5935 0.6958
P 0.0000 0.4068 0.3051
P 0.0000 0.9078 0.8610
P 0.0000 0.9077 0.1958
P 0.5000 0.5922 0.0284
P 0.5000 0.5927 0.3631
P 0.0000 0.9069 0.5281
P 0.5000 0.0944 0.1374
P 0.5000 0.0940 0.8047
P 0.5000 0.0935 0.4707
O 0.0000 0.0443 0.2371
O 0.5000 0.5975 0.5883
O 0.7974 0.3356 0.9272
O 0.2029 0.8363 0.5717
O 0.0000 0.5433 0.2625
O 0.5000 0.5961 0.2555
O 0.2028 0.3366 0.2617
O 0.2991 0.6630 0.7413
O 0.0000 0.5424 0.5971
O 0.2026 0.8376 0.9051
O 0.0000 0.9046 0.0879
O 0.5000 0.4549 0.4033
O 0.0000 0.5427 0.9290
O 0.7974 0.8376 0.9051
O 0.5000 0.0972 0.9122
O 0.2030 0.3362 0.5951
O 0.0000 0.0430 0.5707
O 0.5000 0.9564 0.7641
O 0.5000 0.0971 0.2447
O 0.7012 0.1638 0.0921
O 0.5000 0.5969 0.9207
O 0.7971 0.8363 0.5717
O 0.2990 0.1629 0.4255
O 0.2973 0.1637 0.7601
O 0.0000 0.4042 0.0784
O 0.5000 0.9568 0.0964
O 0.2014 0.8376 0.2399
O 0.7010 0.1629 0.4255
O 0.0000 0.4023 0.7468
O 0.0000 0.9050 0.4209
O 0.5000 0.4554 0.7359
O 0.5000 0.4546 0.0689
O 0.2987 0.6616 0.0732
O 0.2991 0.6628 0.4079
O 0.7027 0.1637 0.7601
O 0.0000 0.9045 0.7537
O 0.5000 0.9554 0.4309
O 0.7986 0.8376 0.2399
O 0.5000 0.0973 0.5787
O 0.7009 0.6628 0.4079
O 0.7009 0.6630 0.7413
O 0.0000 0.4049 0.4126
O 0.7970 0.3362 0.5951
O 0.2988 0.1638 0.0921
O 0.7972 0.3366 0.2617
O 0.0000 0.0449 0.9024
O 0.2026 0.3356 0.9272
O 0.7013 0.6616 0.0732
Fe 0.5000 0.2815 0.6579
Fe 0.0000 0.2183 0.8255
Fe 0.5000 0.7818 0.8420
Fe 0.5000 0.2814 0.9907
Fe 0.5000 0.7816 0.5089
Fe 0.5000 0.2815 0.3244
Li 0.2510 0.4997 0.1666
Li 0.7490 0.4997 0.1666
Li 0.7487 0.0007 0.0001
Li 0.2511 0.5000 0.5001
Li 0.7491 0.0005 0.6667
Li 0.2513 0.4998 0.8332
Li 0.2513 0.0007 0.0001
Li 0.7487 0.4998 0.8332
Li 0.7489 0.5000 0.5001
Li 0.2509 0.0005 0.6667
Li 0.2509 0.0002 0.3334
Li 0.7491 0.0002 0.3334
Mn 0.0000 0.7187 0.3418
Mn 0.0000 0.2187 0.1582
Mn 0.0000 0.7184 0.0083
Mn 0.5000 0.7812 0.1749
Mn 0.0000 0.2185 0.4916
Mn 0.0000 0.7183 0.6751

Output
Magnetic moment ... 54.00 μB per cell
Energy relative to the lowest polymorph listed for this composition ... 0.03 eV per formula unit
Crystal system ... monoclinic
VASP energy ... -7.014 eV per atom
Total energy after the MP2020 corrections ... -645.73 eV/cell